Entry 1:
Below is an optimized crystal structure of LiCuCO3, with properties calculated at the PBE level.

Cell: 5.0370 5.1045 6.4509 Å, 111.29 90.26 118.59°
Space group P-1 (No. 2)
Asymmetric unit:
Li (0.2442, 0.3037, 0.1686) (multiplicity 2)
Cu (0.3987, 0.9668, 0.7280) (multiplicity 2)
C (0.0651, 0.3277, 0.7598) (multiplicity 2)
O (0.0697, 0.1019, 0.8081) (multiplicity 2)
O (0.1946, 0.6878, 0.2859) (multiplicity 2)
O (0.3237, 0.5706, 0.7609) (multiplicity 2)

Properties
E_form, meV/atom: -1649
Raw total energy, eV per atom: -6.319
V, Å³ per cell: 132
Energy relative to the lowest polymorph listed for this composition, meV/atom: 36

---

Entry 2:
Below is an optimized crystal structure of TiS, with properties calculated at the PBE level.

Cell: 3.4521 3.4521 26.5899 Å, 90.00 90.00 120.00°
Space group R-3m (No. 166, hexagonal axes)
Asymmetric unit:
Ti (0.0000, 0.0000, 0.0000) (multiplicity 3)
Ti (0.0000, 0.0000, 0.1187) (multiplicity 6)
S (0.0000, 0.0000, 0.2766) (multiplicity 6)
S (0.0000, 0.0000, 0.5000) (multiplicity 3)

Properties
E_form, meV/atom: -1580
Raw total energy, eV per atom: -7.345
V, Å³ per cell: 274

---

Entry 3:
Below is an optimized crystal structure of TcIr, with properties calculated at the PBE level.

Cell: 2.7596 2.7596 4.3839 Å, 90.00 90.00 120.00°
Space group P-6m2 (No. 187)
Asymmetric unit:
Tc (0.0000, 0.0000, 0.0000) (multiplicity 1)
Ir (0.3333, 0.6667, 0.5000) (multiplicity 1)

Properties
E_form, meV/atom: -218
Raw total energy, eV per atom: -9.818
V, Å³ per cell: 29

---

Entry 4:
Below is an optimized crystal structure of MnGeIr, with properties calculated at the PBE level.

Cell: 6.1567 3.9786 7.4560 Å, 90.00 90.00 90.00°
Space group Pnma (No. 62)
Asymmetric unit:
Mn (0.0314, 0.2500, 0.1856) (multiplicity 4)
Ge (0.2379, 0.7500, 0.3782) (multiplicity 4)
Ir (0.1643, 0.2500, 0.5619) (multiplicity 4)

Properties
E_form, meV/atom: -246
Raw total energy, eV per atom: -7.787
V, Å³ per cell: 183

---

Entry 5:
Below is an optimized crystal structure of NiN, with properties calculated at the PBE level.

Cell: 3.3638 3.3638 4.7921 Å, 90.00 90.00 90.00°
Space group P4_2/mmc (No. 131)
Asymmetric unit:
Ni (0.0000, 0.0000, 0.0000) (multiplicity 2)
N (0.0000, 0.5000, 0.0000) (multiplicity 2)

Properties
E_form, meV/atom: 836
Raw total energy, eV per atom: -6.042
V, Å³ per cell: 54
Energy relative to the lowest polymorph listed for this composition, meV/atom: 583

---

Entry 6:
Below is an optimized crystal structure of YSe, with properties calculated at the PBE level.

Cell: 5.7824 5.7824 5.7824 Å, 90.00 90.00 90.00°
Space group Fm-3m (No. 225)
Asymmetric unit:
Y (0.0000, 0.0000, 0.0000) (multiplicity 4)
Se (0.0000, 0.0000, 0.5000) (multiplicity 4)

Properties
E_form, meV/atom: -1996
Raw total energy, eV per atom: -6.742
V, Å³ per cell: 193

---

Entry 7:
Below is an optimized crystal structure of MgH8Cl2O4, with properties calculated at the PBE level.

Cell: 7.3504 8.4838 10.9677 Å, 90.00 90.00 90.00°
Space group Pbcn (No. 60)
Asymmetric unit:
Mg (0.0000, 0.1237, 0.2500) (multiplicity 4)
H (0.0725, 0.4381, 0.1973) (multiplicity 8)
H (0.0741, 0.1915, 0.6985) (multiplicity 8)
H (0.2054, 0.2155, 0.4432) (multiplicity 8)
H (0.2131, 0.0320, 0.4407) (multiplicity 8)
Cl (0.2301, 0.3770, 0.5965) (multiplicity 8)
O (0.0000, 0.1212, 0.7500) (multiplicity 4)
O (0.0000, 0.3680, 0.2500) (multiplicity 4)
O (0.1911, 0.1246, 0.3881) (multiplicity 8)

Properties
E_form, meV/atom: -1418
Raw total energy, eV per atom: -4.717
V, Å³ per cell: 684

---

Entry 8:
Below is an optimized crystal structure of Sc5In4Co2, with properties calculated at the PBE level.

Cell: 7.6122 17.3640 3.3355 Å, 90.00 90.00 90.00°
Space group Pbam (No. 55)
Asymmetric unit:
Sc (0.0000, 0.0000, 0.0000) (multiplicity 2)
Sc (0.1232, 0.4110, 0.0000) (multiplicity 4)
Sc (0.2458, 0.7213, 0.0000) (multiplicity 4)
In (0.0696, 0.8478, 0.5000) (multiplicity 4)
In (0.2006, 0.5679, 0.5000) (multiplicity 4)
Co (0.0371, 0.3061, 0.5000) (multiplicity 4)

Properties
E_form, meV/atom: -450
Raw total energy, eV per atom: -5.621
V, Å³ per cell: 441

---

Entry 9:
Below is an optimized crystal structure of Cs2Sn3Sb2S10, with properties calculated at the PBE level.

Cell: 7.1944 13.7949 12.3009 Å, 90.00 120.75 90.00°
Space group P2_1/c (No. 14)
Asymmetric unit:
Cs (0.0392, 0.1650, 0.1554) (multiplicity 4)
Sn (0.0000, 0.0000, 0.5000) (multiplicity 2)
Sn (0.3933, 0.0533, 0.8481) (multiplicity 4)
Sb (0.4914, 0.1419, 0.5966) (multiplicity 4)
S (0.0072, 0.0599, 0.7033) (multiplicity 4)
S (0.0994, 0.1705, 0.4620) (multiplicity 4)
S (0.4219, 0.5287, 0.1312) (multiplicity 4)
S (0.4288, 0.6908, 0.6844) (multiplicity 4)
S (0.4320, 0.1023, 0.0565) (multiplicity 4)

Properties
E_form, meV/atom: -860
Raw total energy, eV per atom: -4.296
V, Å³ per cell: 1049

---

Entry 10:
Below is an optimized crystal structure of Na3Cr2P3S12, with properties calculated at the PBE level.

Cell: 9.8572 11.4424 19.4613 Å, 90.00 115.85 90.00°
Space group P2_1/c (No. 14)
Asymmetric unit:
Na (0.1870, 0.0829, 0.1466) (multiplicity 4)
Na (0.2111, 0.0826, 0.4500) (multiplicity 4)
Na (0.2988, 0.1243, 0.7950) (multiplicity 4)
Cr (0.2841, 0.7322, 0.2117) (multiplicity 4)
Cr (0.2967, 0.7203, 0.3998) (multiplicity 4)
P (0.0280, 0.6340, 0.2491) (multiplicity 4)
P (0.2815, 0.7386, 0.5542) (multiplicity 4)
P (0.4417, 0.1842, 0.6365) (multiplicity 4)
S (0.1124, 0.5649, 0.1781) (multiplicity 4)
S (0.1258, 0.5539, 0.3547) (multiplicity 4)
S (0.1302, 0.6996, 0.7742) (multiplicity 4)
S (0.1436, 0.6598, 0.5957) (multiplicity 4)
S (0.1553, 0.6762, 0.9532) (multiplicity 4)
S (0.1985, 0.1377, 0.2975) (multiplicity 4)
S (0.2174, 0.1908, 0.5902) (multiplicity 4)
S (0.4062, 0.6496, 0.1407) (multiplicity 4)
S (0.4083, 0.6262, 0.5239) (multiplicity 4)
S (0.4525, 0.6496, 0.3370) (multiplicity 4)
S (0.4593, 0.6075, 0.7567) (multiplicity 4)
S (0.4726, 0.6193, 0.9345) (multiplicity 4)

Properties
E_form, meV/atom: -939
Raw total energy, eV per atom: -5.095
V, Å³ per cell: 1975

---

Entry 11:
Below is an optimized crystal structure of AlCoN2, with properties calculated at the PBE level.

Cell: 4.3322 4.3322 8.8195 Å, 90.00 90.00 90.00°
Space group I-42d (No. 122)
Asymmetric unit:
Al (0.0000, 0.0000, 0.0000) (multiplicity 4)
Co (0.0000, 0.0000, 0.5000) (multiplicity 4)
N (0.2471, 0.7500, 0.6250) (multiplicity 8)

Properties
E_form, meV/atom: -540
Raw total energy, eV per atom: -7.241
V, Å³ per cell: 166

---

Entry 12:
Below is an optimized crystal structure of ThInNi, with properties calculated at the PBE level.

Cell: 7.3975 7.3975 4.1361 Å, 90.00 90.00 120.00°
Space group P-62m (No. 189)
Asymmetric unit:
Th (0.0000, 0.4166, 0.0000) (multiplicity 3)
In (0.0000, 0.7548, 0.5000) (multiplicity 3)
Ni (0.0000, 0.0000, 0.0000) (multiplicity 1)
Ni (0.3333, 0.6667, 0.5000) (multiplicity 2)

Properties
E_form, meV/atom: -476
Raw total energy, eV per atom: -5.791
V, Å³ per cell: 196

---

Entry 13:
Below is an optimized crystal structure of Ba2TbMgSbO6, with properties calculated at the PBE level.

Cell: 11.0101 6.3518 7.2836 Å, 90.00 120.75 90.00°
Space group Cm (No. 8)
Asymmetric unit:
Ba (0.0000, 0.0000, 0.0000) (multiplicity 2)
Ba (0.0991, 0.5000, 0.7950) (multiplicity 2)
Tb (0.2502, 0.0000, 0.7529) (multiplicity 2)
Mg (0.3978, 0.0000, 0.1854) (multiplicity 2)
Sb (0.3072, 0.5000, 0.4260) (multiplicity 2)
O (0.0183, 0.0000, 0.6172) (multiplicity 2)
O (0.2707, 0.2271, 0.0313) (multiplicity 4)
O (0.2888, 0.2754, 0.6039) (multiplicity 4)
O (0.4942, 0.0000, 0.0273) (multiplicity 2)

Properties
E_form, meV/atom: -2653
Raw total energy, eV per atom: -6.268
V, Å³ per cell: 438
Energy relative to the lowest polymorph listed for this composition, meV/atom: 145

---

Entry 14:
Below is an optimized crystal structure of BaYMg14O16, with properties calculated at the PBE level.

Cell: 8.8978 8.8978 4.5766 Å, 90.00 90.00 90.00°
Space group P4/mmm (No. 123)
Asymmetric unit:
Ba (0.0000, 0.0000, 0.0000) (multiplicity 1)
Y (0.5000, 0.5000, 0.0000) (multiplicity 1)
Mg (0.0000, 0.2619, 0.5000) (multiplicity 4)
Mg (0.0000, 0.5000, 0.0000) (multiplicity 2)
Mg (0.2390, 0.5000, 0.5000) (multiplicity 4)
Mg (0.2505, 0.2505, 0.0000) (multiplicity 4)
O (0.0000, 0.0000, 0.5000) (multiplicity 1)
O (0.0000, 0.2799, 0.0000) (multiplicity 4)
O (0.0000, 0.5000, 0.5000) (multiplicity 2)
O (0.2470, 0.5000, 0.0000) (multiplicity 4)
O (0.2493, 0.2493, 0.5000) (multiplicity 4)
O (0.5000, 0.5000, 0.5000) (multiplicity 1)

Properties
E_form, meV/atom: -2823
Raw total energy, eV per atom: -5.915
V, Å³ per cell: 362

---

Entry 15:
Below is an optimized crystal structure of Al4C3, with properties calculated at the PBE level.

Cell: 3.1924 5.0564 5.5720 Å, 65.75 86.63 76.62°
Space group P1 (No. 1)
Asymmetric unit:
Al (0.0000, 0.0000, 0.0000) (multiplicity 1)
Al (0.0937, 0.5738, 0.5332) (multiplicity 1)
Al (0.4055, 0.0310, 0.5523) (multiplicity 1)
Al (0.7820, 0.4867, 0.0749) (multiplicity 1)
C (0.4222, 0.1695, 0.1448) (multiplicity 1)
C (0.5432, 0.7789, 0.2776) (multiplicity 1)
C (0.9637, 0.8076, 0.7573) (multiplicity 1)

Properties
E_form, meV/atom: 316
Raw total energy, eV per atom: -5.780
V, Å³ per cell: 80
Energy relative to the lowest polymorph listed for this composition, meV/atom: 407

---

Entry 16:
Below is an optimized crystal structure of Zr2VCo3, with properties calculated at the PBE level.

Cell: 5.0966 5.0966 11.5511 Å, 90.00 90.00 120.00°
Space group R-3m (No. 166, hexagonal axes)
Asymmetric unit:
Zr (0.0000, 0.0000, 0.1268) (multiplicity 6)
V (0.0000, 0.0000, 0.5000) (multiplicity 3)
Co (0.0000, 0.5000, 0.0000) (multiplicity 9)

Properties
E_form, meV/atom: -328
Raw total energy, eV per atom: -8.245
V, Å³ per cell: 260